17
Lattice="-4.6235 4.6235 4.6235 4.6235 -4.6235 4.6235 4.6235 4.6235 -4.6235" Properties=species:S:1:pos:R:3 comment="BaFe4Sb12, optimized geometry, DFT PBE" sg=Im-3 dft_energy_ev_per_atom=-5.20 pbc="T T T"
Ba 0.0000 0.0000 0.0000
Fe 2.3118 2.3118 -2.3118
Fe 2.3118 -2.3118 2.3118
Fe -2.3118 2.3118 2.3118
Fe 2.3118 2.3118 2.3118
Sb 3.1247 1.5116 0.0000
Sb 6.1223 1.5116 0.0000
Sb 4.6235 -1.4988 3.1119
Sb 3.1119 4.6235 -1.4988
Sb 1.5116 0.0000 3.1247
Sb 4.6235 1.4988 3.1119
Sb 0.0000 3.1247 1.5116
Sb 3.1119 4.6235 1.4988
Sb 1.5116 0.0000 6.1223
Sb 0.0000 6.1223 1.5116
Sb -1.4988 3.1119 4.6235
Sb 1.4988 3.1119 4.6235



59
Lattice="7.3476 0.0000 0.0000 3.5614 6.4806 0.0000 3.2103 1.8426 23.8075" Properties=species:S:1:pos:R:3 comment="Sc10Mn17S32, optimized geometry, DFT PBE" sg=P1 dft_energy_ev_per_atom=-6.99 pbc="T T T"
Sc 0.0000 0.0000 0.0000
Sc 10.6319 3.9818 11.8970
Sc 3.5342 4.3722 2.8768
Sc 6.7787 6.0576 17.7918
Sc 7.0197 6.3601 8.8553
Sc 8.6704 7.3375 20.7459
Sc 5.3216 1.1066 2.8293
Sc 6.9775 1.9551 14.7739
Sc 7.1197 1.9182 6.0076
Sc 10.5150 4.1041 20.7050
Mn 3.5417 2.2783 16.7412
Mn 1.5978 1.0095 2.7861
Mn 5.0882 5.2741 14.7519
Mn 4.8991 5.4796 6.0644
Mn 3.4795 2.1367 6.0011
Mn 5.1333 3.1094 8.7698
Mn 7.0374 4.0305 22.8546
Mn 4.8943 1.0450 11.9644
Mn 7.0087 4.2178 11.9230
Mn 7.3970 4.5720 4.8493
Mn 8.6680 5.1898 14.6928
Mn 8.3969 3.1535 17.8665
Mn 10.5408 6.3095 17.8543
Mn 10.9118 6.6794 10.7956
Mn 12.1985 7.2198 20.7098
Mn 8.9014 3.1954 8.8215
Mn 8.6349 3.5200 0.0969
S 4.8937 5.2301 19.2089
S 1.5835 0.9792 7.4805
S 3.2493 1.8800 19.1433
S 3.4039 4.0818 7.4102
S 6.6966 6.3058 22.1817
S 4.9469 3.0012 22.2178
S 3.3019 1.9899 10.3383
S 5.2430 5.0820 10.3514
S 3.4814 2.2662 1.4291
S 5.2656 5.5038 1.5339
S 5.1096 3.0533 13.3750
S 6.9396 6.1601 13.3393
S 6.9228 6.7772 4.3580
S 6.8184 4.0674 16.2371
S 5.3870 3.2220 4.4308
S 8.7684 7.1561 16.2602
S 5.1753 1.0820 7.4042
S 8.6321 5.1553 19.2794
S 7.0612 4.2696 7.2626
S 6.9257 1.7922 19.2446
S 6.9726 2.4109 10.2531
S 10.4111 6.1675 22.1545
S 8.9033 5.3476 10.3669
S 8.8444 2.7947 22.0943
S 8.7051 3.1744 13.3310
S 10.5907 6.3402 13.1944
S 9.0377 5.4474 1.4702
S 7.2339 2.0900 1.4650
S 10.4888 4.4820 16.1824
S 10.6388 6.4159 4.4335
S 12.4364 7.4364 16.2778
S 9.0599 2.9744 4.4103



40
Lattice="12.9828 0.0000 0.0000 0.0000 6.3183 0.0000 0.0000 0.0000 12.9523" Properties=species:S:1:pos:R:3 comment="LaSb3Pd, optimized geometry, DFT PBE" sg=Pbcm dft_energy_ev_per_atom=-5.24 pbc="T T T"
La 2.4743 1.4272 3.2381
La 2.4743 1.7319 9.7142
La 2.5882 4.7387 0.0000
La 2.5882 4.7387 6.4761
La 10.3945 1.5796 0.0000
La 10.3945 1.5796 6.4761
La 10.5084 4.5864 3.2381
La 10.5084 4.8910 9.7142
Sb 0.0327 0.0894 8.0395
Sb 0.0327 0.0894 11.3890
Sb 0.0327 3.0697 1.5633
Sb 0.0327 3.0697 4.9128
Sb 3.4422 1.5796 0.0000
Sb 3.4422 1.5796 6.4761
Sb 3.5513 4.6275 3.2381
Sb 3.5513 4.8499 9.7142
Sb 5.6714 0.4987 3.2381
Sb 5.6714 2.6605 9.7142
Sb 6.1537 4.7387 0.0000
Sb 6.1537 4.7387 6.4761
Sb 6.8290 1.5796 0.0000
Sb 6.8290 1.5796 6.4761
Sb 7.3114 3.6578 3.2381
Sb 7.3114 5.8196 9.7142
Sb 9.4314 1.4684 3.2381
Sb 9.4314 1.6908 9.7142
Sb 9.5405 4.7387 0.0000
Sb 9.5405 4.7387 6.4761
Sb 12.9501 3.2486 8.0395
Sb 12.9501 3.2486 11.3890
Sb 12.9501 6.2289 1.5633
Sb 12.9501 6.2289 4.9128
Pd 5.1640 0.3105 8.2206
Pd 5.1640 0.3105 11.2079
Pd 5.1640 2.8486 1.7444
Pd 5.1640 2.8486 4.7317
Pd 7.8188 3.4697 8.2206
Pd 7.8188 3.4697 11.2079
Pd 7.8188 6.0078 1.7444
Pd 7.8188 6.0078 4.7317



32
Lattice="5.8541 0.0000 0.0000 0.0000 20.9332 0.0000 0.0000 0.0000 5.8593" Properties=species:S:1:pos:R:3 comment="PrAs2Au, optimized geometry, DFT PBE" sg=Pbcm dft_energy_ev_per_atom=-5.10 pbc="T T T"
Pr 0.0840 2.4738 1.4648
Pr 0.0840 7.9928 4.3944
Pr 2.8440 12.9361 4.3944
Pr 2.8440 18.4637 1.4648
Pr 3.0101 2.4695 4.3944
Pr 3.0101 7.9971 1.4648
Pr 5.7700 12.9404 1.4648
Pr 5.7700 18.4594 4.3944
As 0.0835 3.3439 4.3944
As 0.0835 7.1227 1.4648
As 1.4483 20.9301 3.1045
As 1.4483 20.9301 5.6844
As 1.4483 10.4698 0.1749
As 1.4483 10.4698 2.7548
As 2.8438 13.8072 1.4648
As 2.8438 17.5926 4.3944
As 3.0103 3.3406 1.4648
As 3.0103 7.1260 4.3944
As 4.4058 0.0032 0.1749
As 4.4058 0.0032 2.7548
As 4.4058 10.4635 3.1045
As 4.4058 10.4635 5.6844
As 5.7705 13.8105 4.3944
As 5.7705 17.5894 1.4648
Au 1.3504 15.6999 0.0000
Au 1.3504 15.6999 2.9296
Au 1.5777 5.2333 0.0000
Au 1.5777 5.2333 2.9296
Au 4.2764 15.6999 0.0000
Au 4.2764 15.6999 2.9296
Au 4.5037 5.2333 0.0000
Au 4.5037 5.2333 2.9296



12
Lattice="5.5144 0.0000 0.0000 0.6797 6.1454 0.0000 2.4050 0.3006 7.1400" Properties=species:S:1:pos:R:3 comment="Mg2Si, optimized geometry, DFT PBE" sg=P-1 dft_energy_ev_per_atom=-2.85 pbc="T T T"
Mg 1.3449 0.5093 0.9560
Mg 1.7255 3.5958 0.7265
Mg 2.6051 0.9746 3.6958
Mg 3.0463 4.0074 3.9174
Mg 5.5527 2.4386 3.2225
Mg 5.9939 5.4714 3.4442
Mg 6.8735 2.8502 6.4135
Mg 7.2542 5.9367 6.1840
Si 4.5050 5.7352 5.6872
Si 4.2218 2.0658 5.6571
Si 4.3773 4.3802 1.4829
Si 4.0941 0.7108 1.4528



28
Lattice="8.8024 0.0000 0.0000 0.0000 7.3865 0.0000 -4.3348 0.0000 13.3022" Properties=species:S:1:pos:R:3 comment="SiPb2Se4, optimized geometry, DFT PBE" sg=P2_1/c dft_energy_ev_per_atom=-4.36 pbc="T T T"
Si 1.1624 1.8315 1.9331
Si -1.0051 1.8617 8.5841
Si 5.4726 5.5248 4.7180
Si 3.3052 5.5550 11.3691
Pb -1.1438 1.0626 4.9800
Pb -3.3113 2.6307 11.6311
Pb 3.3110 4.7064 1.8319
Pb 1.1436 6.3734 8.4830
Pb 3.3240 1.0131 4.8192
Pb 1.1565 2.6801 11.4702
Pb 7.7788 4.7558 1.6711
Pb 5.6114 6.3239 8.3221
Se -3.5322 5.4242 12.5555
Se -1.3648 5.6555 5.9044
Se -0.9519 3.8234 9.7747
Se 1.2155 7.2563 3.1236
Se -0.9285 0.1685 10.1392
Se 1.2389 3.5247 3.4882
Se 0.8473 1.6529 7.2174
Se 3.0147 2.0403 0.5664
Se 1.4529 5.3462 12.7358
Se 3.6203 5.7335 6.0847
Se 3.2286 3.8618 9.8140
Se 5.3961 7.2180 3.1629
Se 3.2520 0.1302 10.1786
Se 5.4195 3.5630 3.5275
Se 5.8323 1.7310 7.3977
Se 7.9997 1.9623 0.7467



What did the fifth record say?
12
Lattice="5.5144 0.0000 0.0000 0.6797 6.1454 0.0000 2.4050 0.3006 7.1400" Properties=species:S:1:pos:R:3 comment="Mg2Si, optimized geometry, DFT PBE" sg=P-1 dft_energy_ev_per_atom=-2.85 pbc="T T T"
Mg 1.3449 0.5093 0.9560
Mg 1.7255 3.5958 0.7265
Mg 2.6051 0.9746 3.6958
Mg 3.0463 4.0074 3.9174
Mg 5.5527 2.4386 3.2225
Mg 5.9939 5.4714 3.4442
Mg 6.8735 2.8502 6.4135
Mg 7.2542 5.9367 6.1840
Si 4.5050 5.7352 5.6872
Si 4.2218 2.0658 5.6571
Si 4.3773 4.3802 1.4829
Si 4.0941 0.7108 1.4528



Copy entry 6 word for word.
28
Lattice="8.8024 0.0000 0.0000 0.0000 7.3865 0.0000 -4.3348 0.0000 13.3022" Properties=species:S:1:pos:R:3 comment="SiPb2Se4, optimized geometry, DFT PBE" sg=P2_1/c dft_energy_ev_per_atom=-4.36 pbc="T T T"
Si 1.1624 1.8315 1.9331
Si -1.0051 1.8617 8.5841
Si 5.4726 5.5248 4.7180
Si 3.3052 5.5550 11.3691
Pb -1.1438 1.0626 4.9800
Pb -3.3113 2.6307 11.6311
Pb 3.3110 4.7064 1.8319
Pb 1.1436 6.3734 8.4830
Pb 3.3240 1.0131 4.8192
Pb 1.1565 2.6801 11.4702
Pb 7.7788 4.7558 1.6711
Pb 5.6114 6.3239 8.3221
Se -3.5322 5.4242 12.5555
Se -1.3648 5.6555 5.9044
Se -0.9519 3.8234 9.7747
Se 1.2155 7.2563 3.1236
Se -0.9285 0.1685 10.1392
Se 1.2389 3.5247 3.4882
Se 0.8473 1.6529 7.2174
Se 3.0147 2.0403 0.5664
Se 1.4529 5.3462 12.7358
Se 3.6203 5.7335 6.0847
Se 3.2286 3.8618 9.8140
Se 5.3961 7.2180 3.1629
Se 3.2520 0.1302 10.1786
Se 5.4195 3.5630 3.5275
Se 5.8323 1.7310 7.3977
Se 7.9997 1.9623 0.7467